# Mg3Al | the Materials Project | PBE | relaxed
data_Mg3Al
_chemical_formula_sum 'Mg6 Al2'
_cell_length_a 6.1530
_cell_length_b 6.1530
_cell_length_c 5.0964
_cell_angle_alpha 90.00
_cell_angle_beta 90.00
_cell_angle_gamma 120.00
_space_group_name_H-M_alt 'P 63/m m c'
_space_group_IT_number 194
_space_group_name_Hall '-P 6c 2c'
loop_
_atom_site_label
_atom_site_fract_x
_atom_site_fract_y
_atom_site_fract_z
Mg1 0.1687 0.3375 0.2500
Al1 0.3333 0.6667 0.7500
# DFT formation energy: 0.007 eV per atom

=====

# Mg18Al11 | the Materials Project | PBE | relaxed
data_Mg18Al11
_chemical_formula_sum 'Mg36 Al22'
_cell_length_a 10.444
_cell_length_b 14.977
_cell_length_c 9.174
_cell_angle_alpha 90.00
_cell_angle_beta 124.51
_cell_angle_gamma 90.00
_space_group_name_H-M_alt 'C 1 m 1'
_space_group_IT_number 8
loop_
_space_group_symop_operation_xyz
'x,y,z'
'x,-y,z'
'x+1/2,y+1/2,z'
'x+1/2,-y+1/2,z'
loop_
_atom_site_label
_atom_site_fract_x
_atom_site_fract_y
_atom_site_fract_z
Mg1 0.000 0.000 0.000
Mg2 0.001 0.000 0.347
Mg3 0.014 0.301 0.662
Mg4 0.039 0.356 0.345
Mg5 0.101 0.500 0.632
Mg6 0.131 0.500 0.165
Mg7 0.198 0.199 0.029
Mg8 0.309 0.000 0.057
Mg9 0.327 0.326 0.346
Mg10 0.340 0.342 0.744
Mg11 0.345 0.000 0.691
Mg12 0.441 0.159 0.946
Al1 0.094 0.093 0.716
Al2 0.182 0.182 0.531
Al3 0.225 0.406 0.972
Al4 0.274 0.091 0.347
Al5 0.317 0.500 0.534
Al6 0.498 0.317 0.161
# DFT formation energy: -0.015 eV per atom

=====

# MgAl3 | the Materials Project | PBE | relaxed
data_MgAl3
_chemical_formula_sum 'Mg2 Al6'
_cell_length_a 5.8184
_cell_length_b 5.8184
_cell_length_c 4.8819
_cell_angle_alpha 90.00
_cell_angle_beta 90.00
_cell_angle_gamma 120.00
_space_group_name_H-M_alt 'P 63/m m c'
_space_group_IT_number 194
_space_group_name_Hall '-P 6c 2c'
loop_
_atom_site_label
_atom_site_fract_x
_atom_site_fract_y
_atom_site_fract_z
Mg1 0.3333 0.6667 0.2500
Al1 0.1619 0.3239 0.7500
# DFT formation energy: 0.018 eV per atom

=====

# MgAl3 | the Materials Project | PBE | relaxed
data_MgAl3
_chemical_formula_sum 'Mg4 Al12'
_cell_length_a 6.605
_cell_length_b 6.605
_cell_length_c 6.605
_cell_angle_alpha 90.00
_cell_angle_beta 90.00
_cell_angle_gamma 90.00
_space_group_name_H-M_alt 'F m -3 m'
_space_group_IT_number 225
_space_group_name_Hall '-F 4 2 3'
loop_
_atom_site_label
_atom_site_fract_x
_atom_site_fract_y
_atom_site_fract_z
Mg1 0.000 0.000 0.000
Al1 0.000 0.000 0.500
Al2 0.250 0.250 0.250
# DFT formation energy: 0.085 eV per atom

=====

# Mg3Al | the Materials Project | PBE | relaxed
data_Mg3Al
_chemical_formula_sum 'Mg3 Al1'
_cell_length_a 3.157
_cell_length_b 4.975
_cell_length_c 5.375
_cell_angle_alpha 90.00
_cell_angle_beta 90.00
_cell_angle_gamma 90.00
_space_group_name_H-M_alt 'P m m 2'
_space_group_IT_number 25
loop_
_space_group_symop_operation_xyz
'x,y,z'
'-x,-y,z'
'-x,y,z'
'x,-y,z'
loop_
_atom_site_label
_atom_site_fract_x
_atom_site_fract_y
_atom_site_fract_z
Mg1 0.000 0.000 0.000
Mg2 0.000 0.500 0.338
Mg3 0.500 0.000 0.508
Al1 0.500 0.500 0.838
# DFT formation energy: 0.028 eV per atom

=====

# Mg16Al13 | the Materials Project | PBE | relaxed
data_Mg16Al13
_chemical_formula_sum 'Mg32 Al26'
_cell_length_a 10.525
_cell_length_b 10.525
_cell_length_c 10.525
_cell_angle_alpha 90.00
_cell_angle_beta 90.00
_cell_angle_gamma 90.00
_space_group_name_H-M_alt 'I -4 3 m'
_space_group_IT_number 217
_space_group_name_Hall 'I -4 2 3'
loop_
_atom_site_label
_atom_site_fract_x
_atom_site_fract_y
_atom_site_fract_z
Mg1 0.041 0.357 0.357
Mg2 0.172 0.172 0.828
Al1 0.000 0.000 0.000
Al2 0.091 0.091 0.276
# relative energy among the computed polymorphs: 0.006 eV/atom
# DFT formation energy: -0.016 eV per atom